# 1
CrBi8O15 | the Materials Project | PBE+U | optimized geometry; corrected total energy (MP2020 scheme) = -6.47 eV per atom
1.0
9.802 0.000 0.000
0.000 12.071 0.000
-3.384 0.000 13.649
Cr Bi O
4 32 60
Direct
0.145 0.250 0.482 Cr
0.231 0.750 0.245 Cr
0.769 0.250 0.755 Cr
0.855 0.750 0.518 Cr
0.156 0.750 0.736 Bi
0.159 0.073 0.755 Bi
0.159 0.427 0.755 Bi
0.163 0.589 0.482 Bi
0.163 0.911 0.482 Bi
0.165 0.250 0.977 Bi
0.172 0.571 0.989 Bi
0.172 0.929 0.989 Bi
0.188 0.100 0.239 Bi
0.188 0.400 0.239 Bi
0.451 0.060 0.611 Bi
0.451 0.440 0.611 Bi
0.462 0.250 0.874 Bi
0.481 0.579 0.877 Bi
0.481 0.921 0.877 Bi
0.491 0.750 0.647 Bi
0.509 0.250 0.353 Bi
0.519 0.079 0.123 Bi
0.519 0.421 0.123 Bi
0.538 0.750 0.126 Bi
0.549 0.560 0.389 Bi
0.549 0.940 0.389 Bi
0.812 0.600 0.761 Bi
0.812 0.900 0.761 Bi
0.828 0.071 0.011 Bi
0.828 0.429 0.011 Bi
0.835 0.750 0.023 Bi
0.837 0.089 0.518 Bi
0.837 0.411 0.518 Bi
0.841 0.573 0.245 Bi
0.841 0.927 0.245 Bi
0.844 0.250 0.264 Bi
0.031 0.250 0.191 O
0.062 0.137 0.426 O
0.062 0.363 0.426 O
0.110 0.076 0.902 O
0.110 0.424 0.902 O
0.137 0.250 0.598 O
0.164 0.637 0.285 O
0.164 0.863 0.285 O
0.198 0.750 0.122 O
0.215 0.068 0.098 O
0.215 0.250 0.822 O
0.215 0.432 0.098 O
0.219 0.603 0.831 O
0.219 0.897 0.831 O
0.230 0.750 0.535 O
0.244 0.523 0.625 O
0.244 0.977 0.625 O
0.306 0.250 0.241 O
0.312 0.250 0.473 O
0.376 0.547 0.479 O
0.376 0.953 0.479 O
0.385 0.081 0.802 O
0.385 0.419 0.802 O
0.393 0.250 0.012 O
0.397 0.572 0.017 O
0.397 0.928 0.017 O
0.398 0.750 0.770 O
0.407 0.750 0.287 O
0.434 0.069 0.300 O
0.434 0.431 0.300 O
0.566 0.569 0.700 O
0.566 0.931 0.700 O
0.593 0.250 0.713 O
0.602 0.250 0.230 O
0.603 0.072 0.983 O
0.603 0.428 0.983 O
0.607 0.750 0.988 O
0.615 0.581 0.198 O
0.615 0.919 0.198 O
0.624 0.047 0.521 O
0.624 0.453 0.521 O
0.688 0.750 0.527 O
0.694 0.750 0.759 O
0.756 0.023 0.375 O
0.756 0.477 0.375 O
0.770 0.250 0.465 O
0.781 0.103 0.169 O
0.781 0.397 0.169 O
0.785 0.568 0.902 O
0.785 0.750 0.178 O
0.785 0.932 0.902 O
0.802 0.250 0.878 O
0.836 0.137 0.715 O
0.836 0.363 0.715 O
0.863 0.750 0.402 O
0.890 0.576 0.098 O
0.890 0.924 0.098 O
0.938 0.637 0.574 O
0.938 0.863 0.574 O
0.969 0.750 0.809 O

# 2
CrBiO5 | the Materials Project | PBE+U | optimized geometry; corrected total energy (MP2020 scheme) = -6.87 eV per atom
1.0
5.908 0.000 0.000
0.000 11.084 0.000
-2.873 0.000 8.509
Cr Bi O
4 4 20
Direct
0.161 0.150 0.445 Cr
0.161 0.350 0.945 Cr
0.839 0.650 0.055 Cr
0.839 0.850 0.555 Cr
0.001 0.089 0.827 Bi
0.001 0.411 0.327 Bi
0.999 0.589 0.673 Bi
0.999 0.911 0.173 Bi
0.112 0.702 0.153 O
0.112 0.798 0.653 O
0.168 0.551 0.492 O
0.168 0.949 0.992 O
0.172 0.097 0.622 O
0.172 0.403 0.122 O
0.249 0.043 0.340 O
0.249 0.457 0.840 O
0.328 0.227 0.962 O
0.328 0.273 0.462 O
0.672 0.727 0.538 O
0.672 0.773 0.038 O
0.751 0.543 0.160 O
0.751 0.957 0.660 O
0.828 0.597 0.878 O
0.828 0.903 0.378 O
0.832 0.051 0.008 O
0.832 0.449 0.508 O
0.888 0.202 0.347 O
0.888 0.298 0.847 O

# 3
CrBiO3 | the Materials Project | PBE+U | optimized geometry; corrected total energy (MP2020 scheme) = -7.67 eV per atom; largest piezoelectric modulus = 3.25 C/m2
1.0
2.800 1.617 4.598
-2.800 1.617 4.598
0.000 -3.233 4.598
Cr Bi O
2 2 6
Direct
0.000 0.000 0.000 Cr
0.500 0.500 0.500 Cr
0.278 0.278 0.278 Bi
0.778 0.778 0.778 Bi
0.175 0.322 0.722 O
0.222 0.822 0.675 O
0.322 0.722 0.175 O
0.675 0.222 0.822 O
0.722 0.175 0.322 O
0.822 0.675 0.222 O

# 4
Cr8Bi4O29 | the Materials Project | PBE+U | optimized geometry; corrected total energy (MP2020 scheme) = -7.39 eV per atom
1.0
5.069 0.000 0.000
-0.214 13.363 0.000
-1.113 -1.833 18.631
Cr Bi O
16 8 58
Direct
0.170 0.378 0.267 Cr
0.201 0.109 0.457 Cr
0.216 0.611 0.958 Cr
0.263 0.388 0.548 Cr
0.275 0.889 0.046 Cr
0.295 0.879 0.768 Cr
0.299 0.118 0.744 Cr
0.321 0.620 0.243 Cr
0.679 0.380 0.757 Cr
0.701 0.882 0.256 Cr
0.705 0.121 0.232 Cr
0.725 0.111 0.954 Cr
0.737 0.612 0.452 Cr
0.784 0.389 0.042 Cr
0.799 0.891 0.543 Cr
0.830 0.622 0.733 Cr
0.224 0.307 0.903 Bi
0.237 0.805 0.402 Bi
0.270 0.198 0.091 Bi
0.313 0.704 0.590 Bi
0.687 0.296 0.410 Bi
0.730 0.802 0.909 Bi
0.763 0.195 0.598 Bi
0.776 0.693 0.097 Bi
0.059 0.171 0.700 O
0.064 0.316 0.027 O
0.082 0.398 0.474 O
0.082 0.822 0.529 O
0.089 0.898 0.971 O
0.090 0.323 0.601 O
0.097 0.829 0.100 O
0.100 0.672 0.191 O
0.125 0.994 0.422 O
0.130 0.496 0.926 O
0.170 0.322 0.183 O
0.175 0.516 0.272 O
0.176 0.811 0.693 O
0.180 0.004 0.771 O
0.197 0.829 0.839 O
0.269 0.335 0.345 O
0.349 0.499 0.587 O
0.365 0.109 0.535 O
0.367 0.001 0.082 O
0.379 0.611 0.038 O
0.386 0.123 0.227 O
0.390 0.163 0.402 O
0.401 0.191 0.818 O
0.403 0.663 0.903 O
0.413 0.695 0.317 O
0.421 0.407 0.803 O
0.447 0.181 0.977 O
0.454 0.682 0.476 O
0.458 0.903 0.308 O
0.542 0.097 0.692 O
0.546 0.318 0.524 O
0.553 0.819 0.023 O
0.579 0.593 0.197 O
0.587 0.305 0.683 O
0.597 0.337 0.097 O
0.599 0.809 0.182 O
0.610 0.837 0.598 O
0.614 0.877 0.773 O
0.621 0.389 0.962 O
0.633 0.999 0.918 O
0.635 0.891 0.465 O
0.651 0.501 0.413 O
0.731 0.665 0.655 O
0.803 0.171 0.161 O
0.820 0.996 0.229 O
0.824 0.189 0.307 O
0.825 0.484 0.728 O
0.830 0.678 0.817 O
0.870 0.504 0.074 O
0.875 0.006 0.578 O
0.900 0.328 0.809 O
0.903 0.171 0.900 O
0.910 0.677 0.399 O
0.911 0.102 0.029 O
0.918 0.178 0.471 O
0.918 0.602 0.526 O
0.936 0.684 0.973 O
0.941 0.829 0.300 O

# 5
CrBiO3 | the Materials Project | PBE+U | optimized geometry; corrected total energy (MP2020 scheme) = -7.67 eV per atom
1.0
5.677 0.000 0.000
0.000 7.841 0.000
0.000 0.000 5.468
Cr Bi O
4 4 12
Direct
0.000 0.000 0.000 Cr
0.000 0.500 0.000 Cr
0.500 0.000 0.500 Cr
0.500 0.500 0.500 Cr
0.052 0.250 0.491 Bi
0.448 0.750 0.991 Bi
0.552 0.250 0.009 Bi
0.948 0.750 0.509 Bi
0.027 0.750 0.093 O
0.201 0.545 0.698 O
0.201 0.955 0.698 O
0.299 0.045 0.198 O
0.299 0.455 0.198 O
0.473 0.250 0.593 O
0.527 0.750 0.407 O
0.701 0.545 0.802 O
0.701 0.955 0.802 O
0.799 0.045 0.302 O
0.799 0.455 0.302 O
0.973 0.250 0.907 O

# 6
SrCrBiSbO6 | the Materials Project | PBE+U | optimized geometry; corrected total energy (MP2020 scheme) = -6.98 eV per atom
1.0
0.000 4.031 4.031
4.031 0.000 4.031
4.031 4.031 0.000
Sr Cr Bi Sb O
1 1 1 1 6
Direct
0.000 0.000 0.000 Sr
0.250 0.250 0.250 Cr
0.500 0.500 0.500 Bi
0.750 0.750 0.750 Sb
0.501 0.501 0.999 O
0.501 0.999 0.501 O
0.501 0.999 0.999 O
0.999 0.501 0.501 O
0.999 0.501 0.999 O
0.999 0.999 0.501 O

The formation energy from the elements results, record by record, are as follows: -1.682; -1.398; -1.989; -1.631; -1.993; -2.073 eV/atom.